Record 1
A plane-wave DFT calculation with PBE was carried out for a geometry-optimized P3RuO9 structure.

## Properties
- distance to the lowest polymorph of the same formula (meV per atom) = 0
- ΔE_f (meV per atom) = -2293
- crystal system = triclinic

Lattice parameters (Å, degrees): 5.126 7.062 10.474 98.63 92.41 92.36
Fractional coordinates of all 26 atoms:
1 P 0.526 0.959 0.181
2 P 0.241 0.314 0.229
3 P 0.499 0.329 0.639
4 P 0.474 0.041 0.819
5 P 0.759 0.686 0.771
6 P 0.501 0.671 0.361
7 Ru 0.000 0.000 0.000
8 Ru 0.000 0.500 0.500
9 O 0.488 0.181 0.233
10 O 0.096 0.270 0.098
11 O 0.330 0.880 0.073
12 O 0.208 0.355 0.622
13 O 0.664 0.334 0.524
14 O 0.187 0.067 0.842
15 O 0.617 0.478 0.764
16 O 0.904 0.730 0.902
17 O 0.534 0.129 0.689
18 O 0.792 0.645 0.378
19 O 0.915 0.699 0.654
20 O 0.813 0.933 0.158
21 O 0.512 0.819 0.767
22 O 0.670 0.120 0.927
23 O 0.466 0.871 0.311
24 O 0.085 0.301 0.346
25 O 0.383 0.522 0.236
26 O 0.336 0.666 0.476



Record 2
A plane-wave DFT calculation with PBE was carried out for a geometry-optimized ZrZnGe structure.

## Properties
- ΔE_f (meV per atom) = -361
- crystal system = hexagonal

Lattice parameters (Å, degrees): 7.020 7.020 3.744 90.00 90.00 120.00
Fractional coordinates of all 9 atoms:
1 Zr 0.630 0.000 0.000
2 Zr 0.000 0.630 0.000
3 Zr 0.370 0.370 0.000
4 Zn 0.333 0.667 0.500
5 Zn 0.667 0.333 0.500
6 Zn 0.000 0.000 0.000
7 Ge 0.295 0.000 0.500
8 Ge 0.000 0.295 0.500
9 Ge 0.705 0.705 0.500